VASP calculation (PBE) on crystalline SrMgP3N5O2 at its relaxed geometry.

a = 7.0223 Å, b = 6.6626 Å, c = 14.1421 Å
α = 90.00°, β = 118.71°, γ = 90.00°
With the nearest neighbours (Å) after each atom.
Space group P2_1/c (No. 14)
Unique sites:
Sr 0.0166 0.2452 0.3910  2 O 2.60-2.73, 3 N 2.63-2.76
Mg 0.4801 0.0061 0.1152  2 O 2.05-2.10, 2 N 2.10-2.16
P 0.2253 0.2422 0.7094  1 O 1.56, 3 N 1.63-1.65
P 0.2403 0.7240 0.9114  1 O 1.58, 3 N 1.63
P 0.4373 0.5161 0.1194  4 N 1.63-1.65
N 0.0121 0.7019 0.7997  2 P 1.63
N 0.2320 0.5790 0.0019  2 P 1.63-1.65
N 0.3219 0.0255 0.6946  2 P 1.64-1.65
N 0.3935 0.2057 0.3371  2 P 1.64-1.65
N 0.4432 0.6894 0.8872  2 P 1.63
O 0.2138 0.0881 0.1303  1 P 1.56
O 0.2793 0.5506 0.4506  1 P 1.58

Its total energy is -87.455 eV per formula unit. The calculation puts the corrected total energy (MP2020 scheme) at -7.402 eV per atom. The formation energy from the elements comes out at -1477 meV/atom. The calculation puts the density at 3.51 Mg/m³.